A plane-wave DFT calculation with PBE was carried out for an optimized crystal structure of Pr2NiGe4.

## Properties
The space group is No. 38. As for the size of the total moment: 0.000 μB/atom.

a = 4.1366 Å, b = 4.2014 Å, c = 8.6771 Å
α = 75.99°, β = 90.00°, γ = 90.00°
Closest atoms and distances in Å follow each position.
Fractional positions:
Pr: 0.7500 0.1037 0.7925  10 Ge 3.11-3.28, 4 Ni 3.25
Pr: 0.2500 0.8904 0.2191  10 Ge 3.11-3.34, 1 Ni 3.46
Ni: 0.2500 0.6849 0.6302  5 Ge 2.36-2.40
Ge: 0.2500 0.2541 0.4918  2 Ni 2.40
Ge: 0.2500 0.5448 0.9104  1 Ni 2.36, 2 Ge 2.57
Ge: 0.7500 0.7522 0.4956  2 Ni 2.36
Ge: 0.7500 0.4538 0.0924  2 Ge 2.57



A plane-wave DFT calculation with PBE was carried out for an optimized crystal structure of Si6O13.

## Properties
Its energy relative to the lowest polymorph listed for this composition is 3.25 kcal/mol of atoms. The space group is No. 192. As for the size of the total moment: 0.052 μB/atom.

a = 13.9291 Å, b = 13.9291 Å, c = 8.6211 Å
α = 90.00°, β = 90.00°, γ = 120.00°
Closest atoms and distances in Å follow each position.
Fractional positions:
O: 0.0000 0.6347 0.2500  2 Si 1.62
O: 0.5441 0.6665 0.0000  2 Si 1.62
O: 0.4209 0.5791 0.7500  2 Si 1.63
O: 0.8417 0.4209 0.2500  2 Si 1.63
O: 0.5791 0.1583 0.7500  2 Si 1.63
O: 0.2098 0.7902 0.7500  2 Si 1.62
O: 0.0000 0.0000 0.4285  1 O 1.23
O: 0.5791 0.4209 0.2500  2 Si 1.63
O: 0.1583 0.5791 0.7500  2 Si 1.63
O: 0.3653 0.3653 0.7500  2 Si 1.62
O: 0.2098 0.4195 0.2500  2 Si 1.62
O: 0.0000 0.6347 0.7500  2 Si 1.62
O: 0.6665 0.1224 0.0000  2 Si 1.62
O: 0.6347 0.6347 0.2500  2 Si 1.62
O: 0.5805 0.7902 0.2500  2 Si 1.62
O: 0.7902 0.5805 0.7500  2 Si 1.62
O: 0.8776 0.3335 0.5000  2 Si 1.62
O: 0.7902 0.5805 0.2500  2 Si 1.62
O: 0.5791 0.1583 0.2500  2 Si 1.63
O: 0.6665 0.5441 0.5000  2 Si 1.62
O: 0.4209 0.8417 0.7500  2 Si 1.63
O: 0.3653 0.0000 0.7500  2 Si 1.62
O: 0.3335 0.4559 0.5000  2 Si 1.62
O: 0.2098 0.7902 0.2500  2 Si 1.62
O: 0.1224 0.4559 0.0000  2 Si 1.62
O: 0.0000 0.0000 0.9285  1 O 1.23
O: 0.5791 0.4209 0.7500  2 Si 1.63
O: 0.4209 0.8417 0.2500  2 Si 1.63
O: 0.3335 0.8776 0.0000  2 Si 1.62
O: 0.4195 0.2098 0.2500  2 Si 1.62
O: 0.2098 0.4195 0.7500  2 Si 1.62
O: 0.1224 0.6665 0.5000  2 Si 1.62
O: 0.0000 0.0000 0.5715  1 O 1.23
O: 0.7902 0.2098 0.2500  2 Si 1.62
O: 0.5441 0.8776 0.5000  2 Si 1.62
O: 0.4195 0.2098 0.7500  2 Si 1.62
O: 0.4209 0.5791 0.2500  2 Si 1.63
O: 0.0000 0.3653 0.2500  2 Si 1.62
O: 0.5805 0.7902 0.7500  2 Si 1.62
O: 0.8417 0.4209 0.7500  2 Si 1.63
O: 0.8776 0.5441 0.0000  2 Si 1.62
O: 0.3653 0.0000 0.2500  2 Si 1.62
O: 0.1583 0.5791 0.2500  2 Si 1.63
O: 0.6347 0.0000 0.2500  2 Si 1.62
O: 0.4559 0.1224 0.5000  2 Si 1.62
O: 0.0000 0.0000 0.0715  1 O 1.23
O: 0.7902 0.2098 0.7500  2 Si 1.62
O: 0.3653 0.3653 0.2500  2 Si 1.62
O: 0.6347 0.6347 0.7500  2 Si 1.62
O: 0.0000 0.3653 0.7500  2 Si 1.62
O: 0.6347 0.0000 0.7500  2 Si 1.62
O: 0.4559 0.3335 0.0000  2 Si 1.62
Si: 0.4553 0.1225 0.6874  4 O 1.62-1.63
Si: 0.5447 0.8775 0.6874  4 O 1.62-1.63
Si: 0.1225 0.4553 0.1874  4 O 1.62-1.63
Si: 0.3328 0.4553 0.3126  4 O 1.62-1.63
Si: 0.5447 0.6672 0.1874  4 O 1.62-1.63
Si: 0.3328 0.4553 0.6874  4 O 1.62-1.63
Si: 0.5447 0.8775 0.3126  4 O 1.62-1.63
Si: 0.4553 0.3328 0.8126  4 O 1.62-1.63
Si: 0.8775 0.5447 0.1874  4 O 1.62-1.63
Si: 0.4553 0.1225 0.3126  4 O 1.62-1.63
Si: 0.6672 0.1225 0.1874  4 O 1.62-1.63
Si: 0.1225 0.6672 0.3126  4 O 1.62-1.63
Si: 0.5447 0.6672 0.8126  4 O 1.62-1.63
Si: 0.3328 0.8775 0.1874  4 O 1.62-1.63
Si: 0.1225 0.6672 0.6874  4 O 1.62-1.63
Si: 0.6672 0.5447 0.6874  4 O 1.62-1.63
Si: 0.6672 0.5447 0.3126  4 O 1.62-1.63
Si: 0.3328 0.8775 0.8126  4 O 1.62-1.63
Si: 0.6672 0.1225 0.8126  4 O 1.62-1.63
Si: 0.8775 0.5447 0.8126  4 O 1.62-1.63
Si: 0.8775 0.3328 0.3126  4 O 1.62-1.63
Si: 0.8775 0.3328 0.6874  4 O 1.62-1.63
Si: 0.4553 0.3328 0.1874  4 O 1.62-1.63
Si: 0.1225 0.4553 0.8126  4 O 1.62-1.63



A plane-wave DFT calculation with PBE was carried out for an optimized crystal structure of Li4TiCu3P4O16.

## Properties
Its energy relative to the lowest polymorph listed for this composition is 0.38 kcal/mol of atoms. The space group is No. 1. As for the size of the total moment: 0.036 μB/atom.

a = 5.0941 Å, b = 6.3466 Å, c = 10.1261 Å
α = 89.98°, β = 89.16°, γ = 88.85°
Closest atoms and distances in Å follow each position.
Fractional positions:
O: 0.2115 0.5647 0.1678  1 P 1.59
O: 0.2797 0.2319 0.8710  1 P 1.55
O: 0.8412 0.2599 0.5424  1 P 1.53
O: 0.6984 0.4382 0.8192  1 P 1.56
O: 0.2391 0.9309 0.1900  1 P 1.59
O: 0.2070 0.9381 0.6710  1 P 1.54
O: 0.6271 0.2633 0.0446  1 P 1.56
O: 0.2320 0.2340 0.3798  1 P 1.54
O: 0.8002 0.0438 0.3349  1 P 1.61
O: 0.3408 0.7691 0.9599  1 P 1.51
O: 0.1577 0.7628 0.4459  1 P 1.63
O: 0.7894 0.7332 0.6161  1 P 1.54
O: 0.2396 0.5457 0.6508  1 P 1.54
O: 0.6762 0.7299 0.1454  1 P 1.55
O: 0.7353 0.0465 0.8406  1 P 1.56
O: 0.8264 0.4527 0.3225  1 P 1.58
Li: 0.1024 0.9691 0.8715  4 O 1.91-2.10
Li: 0.4346 0.9814 0.4061  3 O 1.91-2.03
Li: 0.6076 0.4651 0.6254  4 O 1.93-2.03
Li: 0.8785 0.4372 0.1098  2 O 1.84-1.99
Ti: 0.9666 0.7546 0.2861  6 O 1.90-2.09
Cu: 0.6204 0.7533 0.8083  4 O 1.99-2.12
Cu: 0.3907 0.2530 0.1967  2 O 1.94-2.02
Cu: 0.1047 0.2560 0.6924  4 O 2.02-2.08
P: 0.5796 0.2452 0.8930  4 O 1.55-1.56
P: 0.9308 0.2495 0.3975  4 O 1.53-1.61
P: 0.3831 0.7491 0.1071  4 O 1.51-1.59
P: 0.0907 0.7446 0.6034  4 O 1.54-1.63



Listing energy relative to the elements for the structures above in their given order: -66.3, -266.3, -230.2 kJ per mole of atoms.